Entry 1:
## Sr2V3O9 (PBE+U)

Data for a relaxed structure of Sr2V3O9.

POSCAR file:
```
Sr2V3O9
1.0
-1.2559 -1.0048 -6.9180
5.8693 -3.6120 2.9233
-14.2240 -8.2083 7.5849
V O Sr
12 36 8
Direct
0.9110 0.1585 0.6598
0.9096 0.1585 0.1599
0.0904 0.8415 0.8401
0.4949 0.4601 0.2447
0.3320 0.5819 0.5801
0.4950 0.0294 0.7446
0.5050 0.9706 0.2554
0.6680 0.4181 0.4199
0.3328 0.5814 0.0802
0.5051 0.5399 0.7553
0.0890 0.8415 0.3402
0.6672 0.4186 0.9198
0.4625 0.6798 0.5180
0.7781 0.0620 0.2259
0.9571 0.9808 0.5988
0.5390 0.3195 0.9822
0.5375 0.3202 0.4820
0.0784 0.3589 0.5198
0.4907 0.5033 0.1402
0.7412 0.2090 0.5968
0.7756 0.0627 0.7249
0.4549 0.2142 0.2120
0.8269 0.6112 0.2761
0.2588 0.7910 0.4032
0.8260 0.6141 0.7769
0.7046 0.2179 0.3607
0.7401 0.2123 0.0985
0.2219 0.9380 0.7741
0.4610 0.6805 0.0178
0.0775 0.3596 0.0201
0.0474 0.0192 0.9027
0.2599 0.7877 0.9015
0.9216 0.6411 0.4802
0.1731 0.3888 0.7239
0.2244 0.9373 0.2751
0.9526 0.9808 0.0973
0.5093 0.4967 0.8598
0.5451 0.7858 0.7880
0.2954 0.7821 0.6393
0.2994 0.7833 0.1403
0.1740 0.3859 0.2231
0.5119 0.4967 0.3589
0.4727 0.2120 0.7123
0.5273 0.7880 0.2877
0.7006 0.2167 0.8597
0.9225 0.6404 0.9799
0.4881 0.5033 0.6411
0.0429 0.0192 0.4012
0.8793 0.6248 0.1250
0.8759 0.6216 0.6251
0.2984 0.0458 0.0484
0.1207 0.3752 0.8750
0.7011 0.9480 0.4514
0.7016 0.9542 0.9516
0.1241 0.3784 0.3749
0.2989 0.0520 0.5486
```

Output
As for the energy: -7.38 eV per atom. For the density, the calculation gives 4.0 g cm⁻³. The calculation puts the MP2020-corrected energy at -458.15 eV for the cell shown. The offset from the most stable computed form is 4 meV/atom. Its energy relative to the elements is -2813 meV/atom.

Entry 2:
## Sr2V2O7 (PBE+U)

Data for a relaxed structure of Sr2V2O7.

POSCAR file:
```
Sr2V2O7
1.0
7.1909 0.0000 0.0000
0.0000 7.1909 0.0000
0.0000 0.0000 26.0683
V O Sr
16 56 16
Direct
0.6954 0.9675 0.3779
0.0325 0.6954 0.6279
0.6049 0.2317 0.2791
0.2317 0.3951 0.0291
0.5664 0.7022 0.1163
0.8267 0.7741 0.0164
0.3046 0.0325 0.8779
0.2259 0.8267 0.2664
0.3951 0.7683 0.7791
0.1733 0.2259 0.5164
0.7741 0.1733 0.7664
0.7022 0.4336 0.8663
0.4336 0.2978 0.6163
0.7683 0.6049 0.5291
0.9675 0.3046 0.1279
0.2978 0.5664 0.3663
0.9046 0.5340 0.5858
0.7509 0.4123 0.2965
0.6005 0.1339 0.5989
0.8895 0.6360 0.9660
0.7954 0.7856 0.3462
0.0923 0.2639 0.9902
0.5799 0.6886 0.7441
0.6360 0.1105 0.7160
0.5257 0.5415 0.8969
0.1391 0.0155 0.2983
0.5590 0.8861 0.4263
0.4201 0.3114 0.2441
0.1139 0.5590 0.6763
0.1441 0.8832 0.9061
0.9530 0.3044 0.7407
0.4743 0.4585 0.3969
0.6956 0.9530 0.9907
0.2639 0.9077 0.7402
0.8135 0.2756 0.9054
0.8861 0.4410 0.1763
0.3995 0.8661 0.0989
0.6875 0.6219 0.0578
0.2491 0.5877 0.7965
0.7361 0.0923 0.2402
0.2144 0.7954 0.5962
0.1339 0.3995 0.3489
0.8832 0.8559 0.6561
0.9845 0.1391 0.5483
0.0155 0.8609 0.0483
0.7244 0.8135 0.1554
0.2756 0.1865 0.6554
0.6886 0.4201 0.4941
0.9077 0.7361 0.4902
0.3640 0.8895 0.2160
0.7856 0.2046 0.0962
0.1168 0.1441 0.1561
0.2046 0.2144 0.8462
0.1105 0.3640 0.4660
0.5877 0.7509 0.5465
0.3114 0.5799 0.9941
0.4660 0.9046 0.8358
0.3044 0.0470 0.4907
0.3781 0.6875 0.3078
0.0954 0.4660 0.0858
0.5415 0.4743 0.6469
0.0470 0.6956 0.2407
0.4585 0.5257 0.1469
0.5340 0.0954 0.3358
0.4123 0.2491 0.0465
0.1865 0.7244 0.4054
0.3125 0.3781 0.5578
0.8559 0.1168 0.4061
0.4410 0.1139 0.9263
0.6219 0.3125 0.8078
0.8609 0.9845 0.7983
0.8661 0.6005 0.8489
0.1637 0.5085 0.9022
0.2167 0.0866 0.3921
0.3148 0.9369 0.0040
0.3058 0.2753 0.7508
0.9369 0.6852 0.7540
0.0866 0.7833 0.1421
0.5085 0.8363 0.6522
0.2753 0.6942 0.5008
0.9134 0.2167 0.6421
0.7247 0.3058 0.0008
0.4915 0.1637 0.1522
0.0631 0.3148 0.2540
0.6852 0.0631 0.5040
0.6942 0.7247 0.2508
0.7833 0.9134 0.8921
0.8363 0.4915 0.4022
```

Output
As for the energy: -7.28 eV per atom. For the density, the calculation gives 3.8 g cm⁻³. The calculation puts the MP2020-corrected energy at -706.06 eV for the cell shown. Its energy relative to the elements is -2916 meV/atom.

Entry 3:
## SrV6O15 (PBE+U)

Data for a relaxed structure of SrV6O15.

POSCAR file:
```
SrV6O15
1.0
-3.1007 0.5228 -6.6779
-5.1919 -8.9033 1.7138
-13.6880 3.2578 6.6106
V O Sr
24 60 4
Direct
0.8746 0.5905 0.0315
0.8736 0.8937 0.0850
0.8807 0.4131 0.4646
0.3807 0.5869 0.0354
0.6243 0.8922 0.3665
0.6254 0.5905 0.5315
0.3745 0.8873 0.8699
0.1255 0.8873 0.3699
0.8754 0.1037 0.4169
0.1264 0.1063 0.9150
0.3754 0.8963 0.0831
0.6193 0.4131 0.9646
0.3746 0.4095 0.4685
0.6264 0.8937 0.5850
0.1193 0.5869 0.5354
0.3736 0.1063 0.4150
0.1246 0.8963 0.5831
0.8745 0.1127 0.6301
0.3757 0.1078 0.6335
0.1254 0.4095 0.9685
0.6255 0.1127 0.1301
0.6246 0.1037 0.9169
0.8757 0.8922 0.8665
0.1243 0.1078 0.1335
0.8756 0.0539 0.9297
0.3751 0.0039 0.7500
0.3742 0.0496 0.9377
0.6395 0.5344 0.6460
0.6130 0.4653 0.8501
0.6247 0.9292 0.8838
0.8605 0.5344 0.1460
0.8742 0.2132 0.4877
0.1258 0.0496 0.4377
0.1255 0.9307 0.8837
0.1130 0.5347 0.6499
0.6086 0.2173 0.8155
0.3793 0.2668 0.6362
0.1207 0.2668 0.1362
0.1283 0.7369 0.3599
0.1395 0.4656 0.8540
0.1413 0.2194 0.8135
0.8770 0.7885 0.0132
0.8751 0.9961 0.7500
0.8717 0.2631 0.6401
0.1086 0.7827 0.6845
0.8745 0.0693 0.1163
0.3870 0.5347 0.1499
0.6244 0.5821 0.9964
0.6244 0.0539 0.4297
0.3605 0.4656 0.3540
0.6249 0.9961 0.2500
0.6230 0.7885 0.5132
0.1258 0.7868 0.5123
0.8753 0.9292 0.3838
0.3770 0.2115 0.4868
0.8756 0.5821 0.4964
0.3587 0.2194 0.3135
0.8721 0.4274 0.9922
0.3742 0.7868 0.0123
0.3756 0.4179 0.0036
0.8587 0.7806 0.1865
0.1279 0.5726 0.0078
0.6413 0.7806 0.6865
0.3721 0.5726 0.5078
0.6258 0.2132 0.9877
0.1244 0.9461 0.0703
0.6255 0.0693 0.6163
0.8914 0.2173 0.3155
0.1230 0.2115 0.9868
0.1249 0.0039 0.2500
0.3717 0.7369 0.8599
0.8870 0.4653 0.3501
0.3745 0.9307 0.3837
0.3753 0.0708 0.1162
0.1244 0.4179 0.5036
0.8793 0.7332 0.8638
0.8742 0.9504 0.5623
0.6283 0.2631 0.1401
0.6279 0.4274 0.4922
0.1247 0.0708 0.6162
0.6207 0.7332 0.3638
0.3914 0.7827 0.1845
0.3756 0.9461 0.5703
0.6258 0.9504 0.0623
0.6232 0.5916 0.2553
0.8768 0.5916 0.7553
0.1232 0.4084 0.2447
0.3768 0.4084 0.7447
```

Output
As for the energy: -7.48 eV per atom. For the density, the calculation gives 3.7 g cm⁻³. The calculation puts the MP2020-corrected energy at -740.65 eV for the cell shown. Its energy relative to the elements is -2489 meV/atom.

Entry 4:
## SrV2O6 (PBE+U)

Data for a relaxed structure of SrV2O6.

POSCAR file:
```
SrV2O6
1.0
3.7133 0.0000 0.0000
0.0000 9.8284 0.0000
0.0000 0.0000 12.9970
O Sr V
24 4 8
Direct
0.2500 0.4720 0.7352
0.7500 0.9647 0.6020
0.7500 0.5280 0.2648
0.7500 0.1908 0.4280
0.2500 0.5353 0.1020
0.7500 0.4647 0.8980
0.2500 0.8092 0.5720
0.7500 0.0280 0.2352
0.7500 0.6908 0.0720
0.7500 0.1089 0.9756
0.2500 0.3092 0.9280
0.2500 0.8911 0.0244
0.2500 0.3911 0.4756
0.2500 0.2840 0.2825
0.2500 0.6691 0.8906
0.7500 0.8309 0.3906
0.2500 0.1691 0.6094
0.2500 0.9720 0.7648
0.7500 0.2160 0.7825
0.2500 0.7840 0.2175
0.7500 0.6089 0.5244
0.2500 0.0353 0.3980
0.7500 0.7160 0.7175
0.7500 0.3309 0.1094
0.2500 0.1356 0.1160
0.2500 0.6356 0.3840
0.7500 0.3644 0.6160
0.7500 0.8644 0.8840
0.2500 0.7420 0.0953
0.2500 0.0001 0.6370
0.7500 0.2580 0.9047
0.2500 0.2420 0.4047
0.7500 0.7580 0.5953
0.7500 0.4999 0.1370
0.2500 0.5001 0.8630
0.7500 0.9999 0.3630
```

Output
As for the energy: -7.34 eV per atom. For the density, the calculation gives 4.0 g cm⁻³. The calculation puts the MP2020-corrected energy at -294.35 eV for the cell shown. Its energy relative to the elements is -2671 meV/atom.

Entry 5:
## Sr8V6O19 (PBE+U)

Data for a relaxed structure of Sr8V6O19.

POSCAR file:
```
Sr8V6O19
1.0
-5.3199 8.3801 10.1093
-1.7525 3.6590 12.0600
2.9664 10.5887 10.2513
O Sr V
19 8 6
Direct
0.2253 0.8818 0.9668
0.8079 0.2992 0.9668
0.6312 0.0459 0.1603
0.0767 0.7269 0.3026
0.5985 0.6147 0.2912
0.9314 0.1983 0.1373
0.9598 0.3314 0.6560
0.4026 0.3176 0.6990
0.8984 0.8218 0.6990
0.1166 0.8023 0.7668
0.4935 0.8688 0.0130
0.2085 0.4686 0.1603
0.6322 0.8595 0.7356
0.1103 0.1030 0.2912
0.6208 0.1829 0.3026
0.3843 0.9069 0.6560
0.0445 0.9193 0.9110
0.2795 0.0328 0.4410
0.4724 0.1117 0.0552
0.5462 0.4645 0.9077
0.3156 0.2884 0.3688
0.4574 0.6435 0.0852
0.9654 0.6882 0.0693
0.0383 0.4308 0.9234
0.7236 0.7979 0.5529
0.8031 0.1919 0.3939
0.2254 0.7742 0.5492
0.1662 0.9793 0.6675
0.6099 0.9762 0.7802
0.4216 0.9252 0.1567
0.0844 0.0828 0.8311
0.3939 0.1417 0.2122
0.9248 0.0520 0.1503
```

Output
As for the energy: -6.92 eV per atom. For the density, the calculation gives 3.4 g cm⁻³. The calculation puts the MP2020-corrected energy at -251.56 eV for the cell shown. The offset from the most stable computed form is 195 meV/atom. Its energy relative to the elements is -2713 meV/atom.

Entry 6:
## SrV4O9 (PBE+U)

Data for a relaxed structure of SrV4O9.

POSCAR file:
```
SrV4O9
1.0
-1.1151 1.0111 -8.3346
7.2877 -4.0581 -1.4673
-2.7359 -4.8336 -0.2203
O V Sr
18 8 2
Direct
0.2918 0.8925 0.5377
0.3925 0.2082 0.5377
0.9273 0.2485 0.9068
0.8925 0.7082 0.4623
0.2515 0.4273 0.9068
0.6075 0.7918 0.5377
0.0727 0.7515 0.9068
0.2082 0.6075 0.4623
0.7485 0.5727 0.9068
0.5727 0.2515 0.0932
0.7918 0.3925 0.4623
0.7082 0.1075 0.5377
0.2485 0.0727 0.0932
0.4273 0.7485 0.0932
0.5000 0.5000 0.5000
0.1075 0.2918 0.4623
0.0000 0.0000 0.5000
0.7515 0.9273 0.0932
0.9097 0.2148 0.6159
0.0903 0.7852 0.6159
0.2852 0.4097 0.6159
0.7852 0.9097 0.3841
0.7148 0.5903 0.6159
0.4097 0.7148 0.3841
0.5903 0.2852 0.3841
0.2148 0.0903 0.3841
0.0000 0.5000 0.1406
0.5000 0.0000 0.8594
```

Output
As for the energy: -7.62 eV per atom. For the density, the calculation gives 3.6 g cm⁻³. The calculation puts the MP2020-corrected energy at -239.19 eV for the cell shown. Its energy relative to the elements is -2645 meV/atom.

Entry 7:
## Sr2Y2V2O7 (PBE+U)

Data for a relaxed structure of Sr2Y2V2O7.

POSCAR file:
```
Sr2Y2V2O7
1.0
-3.8895 -11.6418 3.1886
-9.1230 -6.2911 6.1660
4.3976 8.7115 -8.0992
O Sr V Y
14 4 4 4
Direct
0.7962 0.2893 0.4134
0.8331 0.6629 0.9960
0.6465 0.1966 0.9685
0.2288 0.6044 0.9670
0.8625 0.2382 0.9670
0.6242 0.1172 0.4134
0.7281 0.6966 0.5501
0.3758 0.7893 0.4930
0.7712 0.7382 0.3757
0.3535 0.3220 0.5501
0.1669 0.1629 0.8297
0.2719 0.8220 0.9685
0.1375 0.1044 0.3757
0.2038 0.6172 0.4930
0.6213 0.6277 0.9600
0.8322 0.8387 0.9600
0.1678 0.1277 0.0065
0.3787 0.3387 0.0065
0.5703 0.0388 0.4681
0.9293 0.3978 0.4681
0.0707 0.5388 0.4685
0.4297 0.8978 0.4685
0.5000 0.4745 0.9745
0.8003 0.2719 0.5722
0.1997 0.7719 0.4716
0.0000 0.9745 0.9745
```

Output
As for the energy: -7.65 eV per atom. For the density, the calculation gives 4.8 g cm⁻³. The calculation puts the MP2020-corrected energy at -215.23 eV for the cell shown. Its energy relative to the elements is -2962 meV/atom.

Entry 8:
## Sr2YVO6 (PBE+U)

Data for a relaxed structure of Sr2YVO6.

POSCAR file:
```
Sr2YVO6
1.0
0.0000 -4.1074 -4.1074
4.1074 0.0000 -4.1074
4.1074 -4.1074 0.0000
V O Sr Y
1 6 2 1
Direct
0.0000 0.0000 0.0000
0.7689 0.2311 0.7689
0.2311 0.2311 0.7689
0.7689 0.7689 0.2311
0.2311 0.7689 0.2311
0.2311 0.7689 0.7689
0.7689 0.2311 0.2311
0.2500 0.2500 0.2500
0.7500 0.7500 0.7500
0.5000 0.5000 0.5000
```

Output
As for the energy: -7.43 eV per atom. For the density, the calculation gives 4.9 g cm⁻³. The calculation puts the MP2020-corrected energy at -80.08 eV for the cell shown. Its energy relative to the elements is -3147 meV/atom.